DFT (PBE with a Hubbard U) results for a relaxed Li10Cr3P6O24F6 crystal.

Cell and atoms, written as CIF:
```
data_Li10Cr3P6O24F6
_cell_length_a 10.1662
_cell_length_b 10.1662
_cell_length_c 6.5078
_cell_angle_alpha 90.00
_cell_angle_beta 90.00
_cell_angle_gamma 120.00
_symmetry_space_group_name_H-M 'P 1'
_symmetry_Int_Tables_number 1
loop_
_symmetry_equiv_pos_as_xyz
'x,y,z'
loop_
_atom_site_label
_atom_site_type_symbol
_atom_site_fract_x
_atom_site_fract_y
_atom_site_fract_z
Li1 Li 0.0000 0.0000 0.0000
Li2 Li 0.0000 0.0000 0.4748
Li3 Li 0.1592 0.7938 0.3860
Li4 Li 0.2062 0.3654 0.3860
Li5 Li 0.3333 0.6667 0.2216
Li6 Li 0.4992 0.4594 0.1161
Li7 Li 0.5406 0.0398 0.1161
Li8 Li 0.6346 0.8408 0.3860
Li9 Li 0.6667 0.3333 0.9273
Li10 Li 0.9602 0.5008 0.1161
Cr1 Cr 0.9995 0.5041 0.6422
Cr2 Cr 0.4959 0.4955 0.6422
Cr3 Cr 0.5045 0.0005 0.6422
P1 P 0.1874 0.8109 0.9052
P2 P 0.1891 0.3765 0.9052
P3 P 0.3747 0.1753 0.3796
P4 P 0.6235 0.8126 0.9052
P5 P 0.8006 0.6253 0.3796
P6 P 0.8247 0.1994 0.3796
O1 O 0.0724 0.4339 0.8685
O2 O 0.0995 0.8953 0.9150
O3 O 0.1047 0.2042 0.9150
O4 O 0.1394 0.7106 0.7057
O5 O 0.1712 0.7174 0.0976
O6 O 0.2049 0.0553 0.3794
O7 O 0.2826 0.4538 0.0976
O8 O 0.2894 0.4288 0.7057
O9 O 0.3614 0.9276 0.8685
O10 O 0.3995 0.3395 0.4145
O11 O 0.4543 0.1467 0.5676
O12 O 0.4583 0.1783 0.1826
O13 O 0.5462 0.8288 0.0976
O14 O 0.5661 0.6386 0.8685
O15 O 0.5712 0.8606 0.7057
O16 O 0.6605 0.0600 0.4145
O17 O 0.6924 0.5457 0.5676
O18 O 0.7201 0.5417 0.1826
O19 O 0.7958 0.9005 0.9150
O20 O 0.8217 0.2799 0.1826
O21 O 0.8504 0.7951 0.3794
O22 O 0.8533 0.3076 0.5676
O23 O 0.9400 0.6005 0.4145
O24 O 0.9447 0.1496 0.3794
F1 F 0.1385 0.5096 0.4329
F2 F 0.3711 0.8615 0.4329
F3 F 0.4904 0.6289 0.4329
F4 F 0.5016 0.3661 0.8503
F5 F 0.6339 0.1355 0.8503
F6 F 0.8645 0.4984 0.8503
```


DFT (PBE with a Hubbard U) results for a relaxed Li2VP2O7 crystal.

Cell and atoms, written as CIF:
```
data_Li2VP2O7
_cell_length_a 6.6409
_cell_length_b 9.3182
_cell_length_c 10.4253
_cell_angle_alpha 66.50
_cell_angle_beta 88.44
_cell_angle_gamma 73.62
_symmetry_space_group_name_H-M 'P 1'
_symmetry_Int_Tables_number 1
loop_
_symmetry_equiv_pos_as_xyz
'x,y,z'
loop_
_atom_site_label
_atom_site_type_symbol
_atom_site_fract_x
_atom_site_fract_y
_atom_site_fract_z
Li1 Li 0.0000 0.0000 0.0000
Li2 Li 0.0043 0.6217 0.9048
Li3 Li 0.1174 0.7249 0.5122
Li4 Li 0.2358 0.3424 0.5314
Li5 Li 0.3022 0.4058 0.1400
Li6 Li 0.5236 0.5894 0.4105
Li7 Li 0.5682 0.0225 0.0585
Li8 Li 0.8205 0.4363 0.6529
V1 V 0.4439 0.6116 0.8059
V2 V 0.5419 0.0032 0.7798
V3 V 0.8027 0.0151 0.2916
V4 V 0.8850 0.4060 0.2598
P1 P 0.0462 0.9598 0.7341
P2 P 0.0907 0.6928 0.2344
P3 P 0.2400 0.3210 0.8351
P4 P 0.2988 0.0542 0.3330
P5 P 0.4692 0.7026 0.0861
P6 P 0.6104 0.8025 0.5700
P7 P 0.7295 0.2199 0.4987
P8 P 0.8582 0.3158 0.9788
O1 O 0.0668 0.5713 0.1758
O2 O 0.0853 0.2228 0.9392
O3 O 0.1301 0.4059 0.6850
O4 O 0.1301 0.7820 0.7478
O5 O 0.1390 0.9615 0.3419
O6 O 0.2019 0.2348 0.3073
O7 O 0.2058 0.6053 0.3843
O8 O 0.2122 0.0415 0.7361
O9 O 0.2391 0.7929 0.1259
O10 O 0.2567 0.4452 0.8938
O11 O 0.4235 0.9691 0.4912
O12 O 0.4264 0.5962 0.0160
O13 O 0.4471 0.1874 0.8607
O14 O 0.4722 0.0340 0.2356
O15 O 0.5337 0.2081 0.5764
O16 O 0.5366 0.6557 0.5746
O17 O 0.5470 0.8453 0.9942
O18 O 0.5990 0.5983 0.2280
O19 O 0.6290 0.7885 0.7223
O20 O 0.7096 0.2271 0.3487
O21 O 0.7275 0.4197 0.8373
O22 O 0.7868 0.1676 0.0709
O23 O 0.8001 0.3699 0.4881
O24 O 0.8084 0.8147 0.4949
O25 O 0.8795 0.9761 0.8378
O26 O 0.8883 0.8309 0.2106
O27 O 0.8982 0.4219 0.0493
O28 O 0.9189 0.0558 0.5774
```


Computed formation enthalpy at 0 K (meV/atom) in order:
-2577, -2646